Density functional theory data (PBE-GGA) for Ti3Pd after structural relaxation.

a b c (Å): 5.0624 5.0624 5.0624
angles (deg): 90.00 90.00 90.00
With the nearest neighbours (Å) after each atom.
Sites, in units of the cell vectors:
Ti 0.0000 0.2500 0.5000  2 Ti 2.53, 4 Pd 2.83
Ti 0.0000 0.7500 0.5000  2 Ti 2.53, 4 Pd 2.83
Ti 0.2500 0.5000 0.0000  2 Ti 2.53, 4 Pd 2.83
Ti 0.5000 0.0000 0.2500  2 Ti 2.53, 4 Pd 2.83
Ti 0.5000 0.0000 0.7500  2 Ti 2.53, 4 Pd 2.83
Ti 0.7500 0.5000 0.0000  2 Ti 2.53, 4 Pd 2.83
Pd 0.0000 0.0000 0.0000  12 Ti 2.83
Pd 0.5000 0.5000 0.5000  12 Ti 2.83

Formation energy from the elements: -0.35 eV per atom